Er3Co2Si3: optimized geometry, PBE.

a = 5.545 Å, b = 5.545 Å, c = 13.420 Å
α = 90.00°, β = 90.00°, γ = 137.13°
Fractional positions:
Er1 0.080 0.920 0.887
Er2 0.920 0.080 0.387
Er3 0.361 0.639 0.750
Er4 0.080 0.920 0.613
Er5 0.920 0.080 0.113
Er6 0.639 0.361 0.250
Si1 0.619 0.381 0.039
Si2 0.331 0.669 0.250
Si3 0.381 0.619 0.961
Si4 0.619 0.381 0.461
Si5 0.669 0.331 0.750
Si6 0.381 0.619 0.539
Co1 0.214 0.786 0.082
Co2 0.786 0.214 0.918
Co3 0.214 0.786 0.418
Co4 0.786 0.214 0.582

SG: Cmcm, No. 63
Formation energy from the elements (eV/atom): -0.739